Tm2Mo2C3: relaxed, meta-GGA r2SCAN.

Cell and atoms, written as POSCAR:
```
Tm2Mo2C3
1.0
0.996 -1.980 2.447
1.251 4.513 3.142
-5.943 -0.719 -0.392
Tm C Mo
2 3 2
Direct
0.389 0.172 0.778 Tm
0.611 0.828 0.222 Tm
0.248 0.736 0.496 C
0.752 0.264 0.504 C
0.000 0.000 0.000 C
0.156 0.327 0.312 Mo
0.844 0.673 0.688 Mo
```

**V**: 100 Å³ per cell
**Energy relative to the elements**: -512 meV/atom